Crystalline RbDy2Cl7 at its relaxed geometry. Source: Materials Project, functional PBE.

Output
Mass density in kg/m3: 3617
Calculated formation energy in meV/atom: -2687

a = 13.6015 Å, b = 7.0037 Å, c = 12.6957 Å
α = 90.00°, β = 90.00°, γ = 90.00°
Last column: nearest neighbours and their distance in Å.
Space group Pnma (No. 62)
Asymmetric unit:
Rb: 0.0405 0.2500 0.1949 [4 per cell]  10 Cl 3.53-3.74
Dy: 0.2373 0.2500 0.5399 [4 per cell]  7 Cl 2.70-2.79
Dy: 0.2491 0.2500 0.8429 [4 per cell]  7 Cl 2.70-2.74
Cl: 0.1114 0.7500 0.1882 [4 per cell]  2 Dy 2.73-2.79
Cl: 0.1246 0.0105 0.4219 [8 per cell]  2 Dy 2.70-2.72
Cl: 0.1342 0.0097 0.9603 [8 per cell]  2 Dy 2.72-2.74
Cl: 0.1760 0.0101 0.6932 [8 per cell]  2 Dy 2.70-2.72